[1]
! PBE Os3C9S2O9, optimized geometry; values from VASP
! * spin magnetization: 0.001 μB/cell
! * SG: P-1, No. 2
! * DFT total energy: -370.0 eV per cell
! * calculated formation energy: -0.984 eV/atom
! * crystal system: triclinic
&SYSTEM
  ibrav = 0, nat = 46, ntyp = 4
/
ATOMIC_SPECIES
O 16.00 O.upf
S 32.06 S.upf
Os 190.23 Os.upf
C 12.01 C.upf
CELL_PARAMETERS angstrom
-0.8056 -6.3758 -2.2308
7.5933 -5.3677 2.3799
-4.9405 -4.8794 11.8186
ATOMIC_POSITIONS crystal
O 0.6970 0.9670 0.0918
S 0.0940 0.4331 0.2518
Os 0.7057 0.3998 0.7579
C 0.3028 0.7731 0.6150
O 0.1323 0.8174 0.5890
C 0.4402 0.9291 0.8848
C 0.6252 0.8842 0.6220
C 0.8540 0.8771 0.8218
O 0.7603 0.5405 0.4731
Os 0.3284 0.2398 0.1555
O 0.6263 0.7404 0.2708
Os 0.6716 0.7602 0.8445
O 0.9646 0.9474 0.8074
C 0.0908 0.7320 0.3268
O 0.3737 0.2596 0.7292
Os 0.5820 0.6981 0.6595
S 0.4516 0.6180 0.8213
C 0.9092 0.2680 0.6732
C 0.2058 0.7197 0.1228
C 0.3078 0.3983 0.4567
O 0.1597 0.7862 0.0463
C 0.3748 0.1158 0.3780
Os 0.4180 0.3019 0.3405
S 0.9060 0.5669 0.7482
C 0.4983 0.3134 0.7392
C 0.5598 0.0709 0.1152
C 0.7549 0.6803 0.9731
O 0.0354 0.0526 0.1926
C 0.6972 0.2269 0.3850
O 0.9677 0.8100 0.3783
O 0.8048 0.6265 0.0520
C 0.7942 0.2803 0.8772
C 0.1460 0.1229 0.1782
O 0.6515 0.9967 0.5953
O 0.8677 0.1826 0.4110
C 0.5017 0.6866 0.2608
O 0.2397 0.4595 0.5269
O 0.0323 0.1900 0.6217
O 0.3485 0.0033 0.4047
O 0.1952 0.3735 0.9480
S 0.5484 0.3820 0.1787
C 0.2451 0.3197 0.0269
O 0.8403 0.2138 0.9537
Os 0.2943 0.6002 0.2421
O 0.3030 0.0330 0.9082
C 0.6922 0.6017 0.5433

***

[2]
! PBE Os6C17SO17, optimized geometry; values from VASP
! * spin magnetization: 0.001 μB/cell
! * SG: Pna2_1, No. 33
! * DFT total energy: -1350.5 eV per cell
! * calculated formation energy: -0.910 eV/atom
! * crystal system: orthorhombic
&SYSTEM
  ibrav = 0, nat = 164, ntyp = 4
/
ATOMIC_SPECIES
C 12.01 C.upf
O 16.00 O.upf
Os 190.23 Os.upf
S 32.06 S.upf
CELL_PARAMETERS angstrom
11.5223 0.0000 0.0000
0.0000 14.2791 0.0000
0.0000 0.0000 16.7015
ATOMIC_POSITIONS crystal
C 0.2348 0.2350 0.6826
O 0.0467 0.0306 0.3236
Os 0.5556 0.1525 0.9534
O 0.2081 0.1670 0.9061
S 0.5819 0.5678 0.4974
O 0.3541 0.4332 0.3924
C 0.9834 0.0472 0.5924
Os 0.2835 0.5624 0.9603
S 0.4181 0.0678 0.5026
O 0.2919 0.6670 0.4061
O 0.0522 0.9011 0.1329
O 0.6486 0.1200 0.3236
C 0.2267 0.0390 0.6590
C 0.9309 0.1276 0.8219
O 0.8908 0.8497 0.8895
Os 0.9813 0.2363 0.9818
C 0.3308 0.8554 0.0426
O 0.4367 0.9818 0.8813
C 0.1822 0.8661 0.9229
O 0.9367 0.9818 0.6187
Os 0.4813 0.2363 0.5182
O 0.6459 0.9332 0.6076
O 0.8001 0.7874 0.2702
O 0.0633 0.4818 0.3813
C 0.6412 0.7330 0.7125
Os 0.4444 0.6525 0.0466
O 0.5625 0.7904 0.1631
C 0.3455 0.0462 0.3096
Os 0.0556 0.1525 0.5466
O 0.3103 0.4747 0.1926
O 0.7919 0.6670 0.0939
C 0.1296 0.2599 0.3883
O 0.8319 0.2816 0.2649
C 0.8455 0.0462 0.1904
Os 0.2605 0.7636 0.9739
C 0.3178 0.3661 0.4229
C 0.5166 0.7401 0.1186
C 0.3149 0.4387 0.9906
O 0.8717 0.9181 0.4231
O 0.3260 0.9850 0.2660
Os 0.7835 0.5624 0.5397
O 0.3001 0.7874 0.2298
Os 0.7165 0.0624 0.0397
C 0.0523 0.1318 0.1589
O 0.5633 0.4818 0.1187
C 0.6851 0.9387 0.0094
O 0.4478 0.4011 0.6329
O 0.3371 0.3615 0.0087
O 0.1629 0.8615 0.5087
C 0.4309 0.1276 0.6781
Os 0.2012 0.6454 0.1097
C 0.0384 0.8380 0.0901
C 0.8308 0.8554 0.4574
C 0.0691 0.6276 0.1781
Os 0.0187 0.7363 0.0182
O 0.6454 0.6594 0.9289
S 0.0819 0.5678 0.0026
C 0.1412 0.7330 0.7875
O 0.1459 0.9332 0.8924
C 0.2733 0.5390 0.1590
C 0.6545 0.5462 0.6904
C 0.3766 0.6941 0.4360
C 0.1545 0.5462 0.8096
O 0.5467 0.0306 0.1764
C 0.7733 0.5390 0.3410
C 0.4477 0.6318 0.6589
O 0.1740 0.4850 0.7660
C 0.0698 0.6591 0.5253
C 0.5166 0.5472 0.0924
Os 0.7395 0.2636 0.0261
C 0.8704 0.7599 0.6117
C 0.8887 0.5438 0.6238
C 0.3887 0.5438 0.8762
Os 0.2988 0.1454 0.6097
O 0.3546 0.1594 0.0711
O 0.3319 0.2816 0.2351
O 0.1454 0.6594 0.5711
C 0.0610 0.3038 0.0635
Os 0.5187 0.7363 0.4818
O 0.4931 0.6139 0.2778
O 0.6629 0.8615 0.9913
O 0.8546 0.1594 0.4289
C 0.9834 0.2401 0.6186
C 0.9616 0.3380 0.9099
C 0.5691 0.6276 0.3219
O 0.3908 0.8497 0.6105
Os 0.7988 0.1454 0.8903
C 0.3704 0.7599 0.8883
C 0.8178 0.3661 0.0771
O 0.4533 0.5306 0.8236
O 0.0625 0.7904 0.3369
C 0.9302 0.1591 0.4747
C 0.5698 0.6591 0.9747
O 0.8103 0.4747 0.3074
O 0.5522 0.9011 0.3671
O 0.6681 0.7816 0.7649
C 0.4390 0.8038 0.5635
C 0.1692 0.3554 0.5426
C 0.1113 0.0438 0.3762
C 0.8766 0.6941 0.0640
C 0.6113 0.0438 0.1238
O 0.1897 0.9747 0.6926
Os 0.6058 0.6492 0.6272
O 0.1681 0.7816 0.7351
O 0.0069 0.1139 0.7778
C 0.1851 0.9387 0.4906
O 0.8514 0.6200 0.8236
C 0.5384 0.8380 0.4099
C 0.5610 0.3038 0.4365
O 0.8260 0.9850 0.2340
C 0.1234 0.1941 0.9360
Os 0.8942 0.1492 0.1272
Os 0.1058 0.6492 0.8728
C 0.6234 0.1941 0.5640
O 0.6897 0.9747 0.8074
O 0.5680 0.2615 0.1668
Os 0.2395 0.2636 0.4739
C 0.4834 0.2401 0.8814
O 0.9375 0.2904 0.6631
C 0.4302 0.1591 0.0253
C 0.4834 0.0472 0.9076
O 0.8541 0.4332 0.1076
O 0.4320 0.7615 0.8332
O 0.8371 0.3615 0.4913
O 0.7081 0.1670 0.5939
S 0.9181 0.0678 0.9974
C 0.8588 0.2330 0.2125
O 0.1486 0.1200 0.1764
C 0.7267 0.0390 0.8410
O 0.9931 0.6139 0.2222
C 0.9390 0.8038 0.9365
C 0.3588 0.2330 0.2875
O 0.6092 0.3497 0.3895
C 0.0166 0.7401 0.3814
C 0.5523 0.1318 0.3411
C 0.0166 0.5472 0.4076
C 0.2652 0.7350 0.1826
O 0.6283 0.4181 0.9231
O 0.5069 0.1139 0.7222
O 0.9320 0.7615 0.6668
O 0.4375 0.2904 0.8369
O 0.6740 0.4850 0.7340
Os 0.3942 0.1492 0.3728
O 0.6999 0.2874 0.7702
O 0.1999 0.2874 0.7298
C 0.6692 0.3554 0.9574
C 0.7652 0.7350 0.3174
Os 0.7012 0.6454 0.3903
Os 0.9444 0.6525 0.4534
C 0.7348 0.2350 0.8174
O 0.0680 0.2615 0.3332
C 0.8149 0.4387 0.5094
O 0.1092 0.3497 0.1105
O 0.3717 0.9181 0.0769
O 0.9533 0.5306 0.6764
Os 0.7605 0.7636 0.5261
O 0.9478 0.4011 0.8671
O 0.1283 0.4181 0.5769
Os 0.2165 0.0624 0.4603
C 0.4616 0.3380 0.5901
C 0.6822 0.8661 0.5771
O 0.3514 0.6200 0.6764
C 0.9477 0.6318 0.8411
C 0.6296 0.2599 0.1117

***

[3]
! PBE Os7C19SO19, optimized geometry; values from VASP
! * spin magnetization: 0.001 μB/cell
! * SG: P2_1, No. 4
! * DFT total energy: -760.4 eV per cell
! * calculated formation energy: -0.905 eV/atom
! * crystal system: monoclinic
&SYSTEM
  ibrav = 0, nat = 92, ntyp = 4
/
ATOMIC_SPECIES
O 16.00 O.upf
C 12.01 C.upf
S 32.06 S.upf
Os 190.23 Os.upf
CELL_PARAMETERS angstrom
11.7086 0.0000 0.0000
0.0000 10.2001 0.0000
0.0000 0.1255 12.9605
ATOMIC_POSITIONS crystal
O 0.9486 0.9143 0.1170
O 0.3723 0.4832 0.5084
C 0.6472 0.6767 0.7459
C 0.1589 0.9740 0.9411
C 0.1144 0.6370 0.5300
C 0.5836 0.6493 0.9737
O 0.8690 0.2020 0.9130
C 0.4513 0.2182 0.3646
S 0.6748 0.3289 0.1567
C 0.8053 0.5735 0.2417
O 0.4486 0.0857 0.8830
C 0.5562 0.4302 0.8374
C 0.9513 0.7818 0.6354
Os 0.8148 0.3947 0.2840
O 0.3686 0.1341 0.1239
Os 0.5882 0.3102 0.3322
O 0.1279 0.6059 0.4448
C 0.8322 0.1804 0.4947
O 0.1444 0.9820 0.2827
C 0.0562 0.5698 0.1626
O 0.6036 0.3345 0.8156
C 0.0034 0.5375 0.7057
C 0.1555 0.9521 0.5749
C 0.3533 0.5337 0.5872
O 0.6449 0.6891 0.0366
C 0.0839 0.0721 0.7593
Os 0.7837 0.1309 0.3594
O 0.9555 0.4446 0.7342
C 0.3989 0.4991 0.9795
Os 0.1187 0.9026 0.8124
O 0.1695 0.0189 0.0229
O 0.8551 0.2017 0.5800
O 0.6279 0.3941 0.5552
Os 0.0089 0.2396 0.2960
O 0.3507 0.4457 0.0463
C 0.0912 0.0775 0.2895
C 0.6555 0.0479 0.4251
C 0.1472 0.3233 0.2541
O 0.0971 0.3110 0.5115
C 0.3653 0.0323 0.6423
O 0.8507 0.5543 0.9537
O 0.3672 0.1658 0.3901
Os 0.5089 0.7604 0.7040
C 0.8616 0.2028 0.0030
C 0.3322 0.8196 0.5053
O 0.6695 0.9811 0.9771
O 0.4555 0.5554 0.2658
Os 0.6187 0.0974 0.1876
O 0.0621 0.1762 0.7283
O 0.0862 0.0065 0.5261
O 0.6444 0.0180 0.7173
C 0.5839 0.9279 0.2407
Os 0.2837 0.8691 0.6406
C 0.0836 0.3507 0.0263
C 0.5912 0.9225 0.7105
Os 0.3439 0.8145 0.8520
O 0.2979 0.3151 0.7788
C 0.6589 0.0260 0.0589
O 0.8723 0.5168 0.4916
C 0.8989 0.5009 0.0205
C 0.6144 0.3630 0.4700
O 0.7979 0.6849 0.2212
Os 0.9777 0.4120 0.1262
Os 0.8439 0.1855 0.1480
C 0.3053 0.4265 0.7583
O 0.5621 0.8238 0.2717
O 0.3690 0.7980 0.0870
C 0.5034 0.4625 0.2943
S 0.1748 0.6711 0.8433
O 0.5971 0.6890 0.4885
O 0.1449 0.3109 0.9634
O 0.7396 0.6353 0.7552
Os 0.4777 0.5880 0.8738
C 0.0608 0.2827 0.4314
O 0.2396 0.3647 0.2448
Os 0.0882 0.6898 0.6678
O 0.4092 0.1341 0.6347
C 0.3616 0.7972 0.9970
Os 0.3148 0.6053 0.7160
O 0.9092 0.8659 0.3653
C 0.9115 0.0189 0.1307
O 0.1036 0.6655 0.1844
O 0.5862 0.9935 0.4739
O 0.8686 0.8659 0.8761
C 0.4115 0.9811 0.8693
C 0.5608 0.7173 0.5686
O 0.8672 0.8342 0.6099
C 0.8533 0.4663 0.4128
C 0.9633 0.8776 0.8509
C 0.4633 0.1224 0.1491
C 0.8653 0.9677 0.3577
O 0.3551 0.7983 0.4200

***

What is the DFT total energy in the first record?
-370.0 eV per cell

***

Among the records above, which one has the highest DFT total energy?
Os3C9S2O9